Entry 1:
Here is a relaxed LiCu6OF11 crystal from Materials Project. Energies are from PBE.

Output
Offset from the most stable computed form in kJ per mole of atoms: 0.7
Mass density in kg/m³: 4660
DFT formation energy in eV/f.u.: -34.1

The structure in POSCAR format:
```
LiCu6OF11
1.0
2.638 0.064 -4.711
-0.068 4.833 -0.102
7.001 -0.220 4.647
Li Cu O F
1 6 1 11
direct
0.172 0.467 0.194
0.023 0.008 0.989
0.542 0.537 0.017
0.324 0.965 0.335
0.773 0.507 0.354
0.183 0.503 0.671
0.676 0.010 0.670
0.498 0.659 0.239
0.319 0.171 0.082
0.008 0.788 0.268
0.849 0.331 0.075
0.113 0.298 0.394
0.610 0.178 0.426
0.378 0.798 0.598
0.882 0.691 0.589
0.482 0.327 0.768
0.211 0.678 0.940
0.982 0.207 0.735
0.725 0.837 0.905
```

***

Entry 2:
Here is a relaxed Na3Ta10Zn2Si3P15O72 crystal from Materials Project. Energies are from PBE.

Output
Mass density in kg/m³: 4074
DFT formation energy in eV/f.u.: -311.9

The structure in POSCAR format:
```
Na3Ta10Zn2Si3P15O72
1.0
8.771 -0.002 0.001
-4.387 7.598 0.008
0.002 0.024 22.694
Na Ta Zn Si P O
3 10 2 3 15 72
direct
0.000 0.001 0.002
0.667 0.334 0.839
0.667 0.334 0.339
0.994 0.998 0.359
0.998 0.996 0.856
0.002 0.997 0.642
0.998 0.001 0.147
0.669 0.336 0.685
0.668 0.335 0.188
0.334 0.666 0.025
0.332 0.667 0.522
0.333 0.664 0.310
0.331 0.666 0.811
0.667 0.333 0.982
0.667 0.333 0.480
0.713 0.713 0.251
0.999 0.286 0.251
0.998 0.711 0.749
0.285 0.000 0.251
0.286 0.285 0.750
0.715 0.001 0.750
0.954 0.333 0.581
0.382 0.047 0.581
0.665 0.619 0.581
0.951 0.621 0.081
0.669 0.050 0.081
0.380 0.329 0.081
0.618 0.661 0.917
0.043 0.380 0.917
0.339 0.957 0.917
0.618 0.958 0.417
0.338 0.380 0.417
0.043 0.663 0.416
0.203 0.034 0.305
0.840 0.803 0.308
0.968 0.162 0.308
0.199 0.170 0.805
0.968 0.805 0.807
0.831 0.033 0.805
0.800 0.972 0.695
0.171 0.202 0.695
0.029 0.836 0.693
0.805 0.833 0.193
0.032 0.198 0.193
0.173 0.971 0.195
0.867 0.363 0.638
0.494 0.131 0.639
0.637 0.505 0.638
0.869 0.506 0.138
0.637 0.129 0.138
0.492 0.362 0.138
0.452 0.296 0.027
0.844 0.549 0.027
0.705 0.156 0.027
0.455 0.160 0.528
0.706 0.546 0.528
0.841 0.295 0.528
0.533 0.698 0.971
0.165 0.467 0.971
0.301 0.835 0.971
0.531 0.835 0.472
0.304 0.469 0.471
0.165 0.695 0.471
0.140 0.644 0.362
0.504 0.862 0.362
0.357 0.497 0.362
0.141 0.494 0.862
0.355 0.860 0.862
0.507 0.647 0.862
0.036 0.835 0.408
0.799 0.965 0.409
0.168 0.200 0.407
0.033 0.197 0.908
0.165 0.969 0.908
0.803 0.837 0.909
0.980 0.176 0.597
0.196 0.023 0.595
0.823 0.806 0.596
0.984 0.810 0.093
0.829 0.019 0.092
0.191 0.171 0.092
0.690 0.163 0.742
0.471 0.305 0.742
0.825 0.515 0.742
0.688 0.518 0.240
0.825 0.305 0.240
0.470 0.163 0.241
0.643 0.505 0.921
0.863 0.360 0.920
0.496 0.137 0.920
0.641 0.138 0.421
0.498 0.361 0.421
0.863 0.503 0.421
0.357 0.496 0.074
0.139 0.642 0.074
0.504 0.860 0.074
0.356 0.859 0.575
0.502 0.643 0.575
0.140 0.497 0.575
0.308 0.840 0.260
0.522 0.694 0.261
0.167 0.480 0.261
0.310 0.469 0.761
0.169 0.690 0.761
0.532 0.838 0.761
```

***

Entry 3:
Here is a relaxed ZrFeCl6 crystal from Materials Project. Energies are from PBE.

Output
Mass density in kg/m³: 2554
DFT formation energy in eV/f.u.: -14.6

The structure in POSCAR format:
```
ZrFeCl6
1.0
3.182 -5.512 0.000
3.182 5.512 0.000
0.000 0.000 13.339
Zr Fe Cl
2 2 12
direct
0.333 0.667 0.250
0.667 0.333 0.750
0.000 0.000 0.250
0.000 0.000 0.750
0.669 0.975 0.143
0.025 0.693 0.143
0.307 0.331 0.143
0.025 0.331 0.357
0.331 0.307 0.643
0.693 0.025 0.643
0.975 0.669 0.643
0.693 0.669 0.857
0.975 0.307 0.857
0.331 0.025 0.857
0.669 0.693 0.357
0.307 0.975 0.357
```

***

Entry 4:
Here is a relaxed LiTiIr2 crystal from Materials Project. Energies are from PBE.

Output
Mass density in kg/m³: 13243
DFT formation energy in eV/f.u.: -2.6

The structure in POSCAR format:
```
LiTiIr2
1.0
-3.901 -1.652 0.542
-3.135 0.988 -2.726
-1.469 -2.944 -2.722
Li Ti Ir
1 1 2
direct
0.500 0.500 0.500
0.000 0.000 0.000
0.250 0.250 0.250
0.750 0.750 0.750
```

***

Entry 5:
Here is a relaxed NaAlH2 crystal from Materials Project. Energies are from PBE.

Output
Offset from the most stable computed form in kJ per mole of atoms: 0.0
Mass density in kg/m³: 1625
DFT formation energy in eV/f.u.: 0.2

The structure in POSCAR format:
```
NaAlH2
1.0
-2.634 -0.154 -5.984
5.860 -1.400 -2.544
-2.540 -4.073 4.797
Na Al H
4 4 8
direct
0.625 0.875 0.250
0.625 0.375 0.250
0.625 0.375 0.750
0.125 0.375 0.750
0.125 0.375 0.250
0.125 0.875 0.250
0.125 0.875 0.750
0.625 0.875 0.750
0.202 0.807 0.004
0.802 0.197 0.004
0.447 0.952 0.504
0.048 0.943 0.496
0.057 0.552 0.504
0.448 0.553 0.496
0.803 0.798 0.996
0.193 0.198 0.996
```

***

Entry 6:
Here is a relaxed LiDySe2 crystal from Materials Project. Energies are from PBE.

Output
Mass density in kg/m³: 5835
DFT formation energy in eV/f.u.: -7.4

The structure in POSCAR format:
```
LiDySe2
1.0
-3.393 -0.720 -2.166
2.160 -2.268 -2.630
-1.006 -4.530 3.081
Li Dy Se
1 1 2
direct
0.000 0.000 0.000
0.500 0.500 0.500
0.000 0.000 0.500
0.500 0.500 0.000
```

***

Entry 7:
Here is a relaxed SrLaNbZnO6 crystal from Materials Project. Energies are from PBE.

Output
Mass density in kg/m³: 6030
DFT formation energy in eV/f.u.: -30.3

The structure in POSCAR format:
```
SrLaNbZnO6
1.0
0.691 -2.476 5.111
2.487 2.890 4.266
-3.115 1.747 4.469
Sr La Nb Zn O
1 1 1 1 6
direct
0.250 0.250 0.250
0.750 0.750 0.750
0.500 0.500 0.500
0.000 0.000 0.000
0.746 0.254 0.254
0.254 0.254 0.746
0.254 0.746 0.254
0.746 0.254 0.746
0.746 0.746 0.254
0.254 0.746 0.746
```

***

Entry 8:
Here is a relaxed GaCo3 crystal from Materials Project. Energies are from PBE.

Output
Mass density in kg/m³: 8892
DFT formation energy in eV/f.u.: -0.4

The structure in POSCAR format:
```
GaCo3
1.0
3.162 2.298 -3.254
-4.080 -2.484 -1.745
-2.219 3.449 0.279
Ga Co
2 6
direct
0.333 0.667 0.750
0.667 0.333 0.250
0.166 0.331 0.250
0.669 0.834 0.250
0.166 0.834 0.250
0.834 0.669 0.750
0.331 0.166 0.750
0.834 0.166 0.750
```

***

Entry 9:
Here is a relaxed K2SnCl6 crystal from Materials Project. Energies are from PBE.

Output
Offset from the most stable computed form in kJ per mole of atoms: 0.6
Mass density in kg/m³: 2541
DFT formation energy in eV/f.u.: -16.7

The structure in POSCAR format:
```
K2SnCl6
1.0
-4.895 3.468 4.147
-4.993 -5.044 -1.676
2.860 -5.473 7.953
K Sn Cl
4 2 12
direct
0.000 0.500 0.250
0.000 0.500 0.750
0.500 0.000 0.750
0.500 0.000 0.250
0.500 0.500 0.500
0.000 0.000 0.000
0.500 0.500 0.255
0.745 0.777 0.000
0.223 0.745 0.000
0.000 0.000 0.755
0.255 0.223 0.000
0.277 0.245 0.500
0.723 0.755 0.500
0.245 0.723 0.500
0.500 0.500 0.745
0.755 0.277 0.500
0.000 0.000 0.245
0.777 0.255 0.000
```

***

Entry 10:
Here is a relaxed Lu2CoGe6 crystal from Materials Project. Energies are from PBE.

Output
Mass density in kg/m³: 8270
DFT formation energy in eV/f.u.: -3.9

The structure in POSCAR format:
```
Lu2CoGe6
1.0
-3.525 1.928 0.303
-0.042 -0.688 3.895
5.173 9.502 -0.274
Lu Co Ge
2 1 6
direct
0.500 0.223 0.446
0.500 0.886 0.773
0.000 0.444 0.889
0.500 0.500 0.000
0.500 0.618 0.236
0.000 0.001 0.003
0.000 0.120 0.241
0.000 0.338 0.676
0.000 0.762 0.523
```

***

Entry 11:
Here is a relaxed Dy6Al43V4 crystal from Materials Project. Energies are from PBE.

Output
Mass density in kg/m³: 4192
DFT formation energy in eV/f.u.: -16.6

The structure in POSCAR format:
```
Dy6Al43V4
1.0
5.521 4.546 8.359
-7.617 -7.688 1.973
12.354 -12.579 -1.319
Dy Al V
12 86 8
direct
0.530 0.000 0.596
0.470 0.000 0.404
0.000 0.530 0.596
0.470 0.000 0.096
0.000 0.530 0.904
0.000 0.470 0.404
0.530 0.000 0.904
0.000 0.470 0.096
0.470 0.470 0.596
0.530 0.530 0.404
0.530 0.530 0.096
0.470 0.470 0.904
0.146 0.598 0.750
0.854 0.402 0.250
0.402 0.549 0.750
0.598 0.146 0.750
0.598 0.451 0.250
0.402 0.854 0.250
0.451 0.854 0.750
0.549 0.402 0.750
0.549 0.146 0.250
0.451 0.598 0.250
0.854 0.451 0.750
0.146 0.549 0.250
0.156 0.000 0.116
0.844 0.000 0.884
0.000 0.156 0.116
0.844 0.000 0.616
0.000 0.156 0.384
0.000 0.844 0.884
0.156 0.000 0.384
0.000 0.844 0.616
0.844 0.844 0.116
0.156 0.156 0.884
0.156 0.156 0.616
0.844 0.844 0.384
0.247 0.494 0.500
0.753 0.506 0.500
0.506 0.753 0.500
0.753 0.506 0.000
0.494 0.247 0.000
0.494 0.247 0.500
0.247 0.494 0.000
0.506 0.753 0.000
0.247 0.753 0.500
0.753 0.247 0.500
0.753 0.247 0.000
0.247 0.753 0.000
0.145 0.000 0.750
0.855 0.000 0.250
0.000 0.145 0.750
0.000 0.855 0.250
0.855 0.855 0.750
0.145 0.145 0.250
0.333 0.667 0.628
0.667 0.333 0.372
0.667 0.333 0.128
0.667 0.333 0.872
0.333 0.667 0.872
0.333 0.667 0.128
0.333 0.667 0.372
0.667 0.333 0.628
0.253 0.000 0.530
0.747 0.000 0.470
0.000 0.253 0.530
0.747 0.000 0.030
0.000 0.253 0.970
0.000 0.747 0.470
0.253 0.000 0.970
0.000 0.747 0.030
0.747 0.747 0.530
0.253 0.253 0.470
0.253 0.253 0.030
0.747 0.747 0.970
0.158 0.392 0.666
0.842 0.608 0.334
0.608 0.766 0.666
0.842 0.608 0.166
0.392 0.158 0.834
0.392 0.234 0.334
0.158 0.392 0.834
0.608 0.842 0.166
0.234 0.842 0.666
0.392 0.234 0.166
0.766 0.608 0.834
0.766 0.158 0.334
0.608 0.766 0.834
0.234 0.392 0.166
0.608 0.842 0.334
0.392 0.158 0.666
0.766 0.158 0.166
0.234 0.392 0.334
0.234 0.842 0.834
0.766 0.608 0.666
0.842 0.234 0.834
0.158 0.766 0.166
0.158 0.766 0.334
0.842 0.234 0.666
0.000 0.000 0.500
0.000 0.000 0.000
0.730 0.000 0.750
0.270 0.000 0.250
0.000 0.730 0.750
0.000 0.270 0.250
0.270 0.270 0.750
0.730 0.730 0.250
```

***

Repeat the eleventh record exactly.
Here is a relaxed Dy6Al43V4 crystal from Materials Project. Energies are from PBE.

Output
Mass density in kg/m³: 4192
DFT formation energy in eV/f.u.: -16.6

The structure in POSCAR format:
```
Dy6Al43V4
1.0
5.521 4.546 8.359
-7.617 -7.688 1.973
12.354 -12.579 -1.319
Dy Al V
12 86 8
direct
0.530 0.000 0.596
0.470 0.000 0.404
0.000 0.530 0.596
0.470 0.000 0.096
0.000 0.530 0.904
0.000 0.470 0.404
0.530 0.000 0.904
0.000 0.470 0.096
0.470 0.470 0.596
0.530 0.530 0.404
0.530 0.530 0.096
0.470 0.470 0.904
0.146 0.598 0.750
0.854 0.402 0.250
0.402 0.549 0.750
0.598 0.146 0.750
0.598 0.451 0.250
0.402 0.854 0.250
0.451 0.854 0.750
0.549 0.402 0.750
0.549 0.146 0.250
0.451 0.598 0.250
0.854 0.451 0.750
0.146 0.549 0.250
0.156 0.000 0.116
0.844 0.000 0.884
0.000 0.156 0.116
0.844 0.000 0.616
0.000 0.156 0.384
0.000 0.844 0.884
0.156 0.000 0.384
0.000 0.844 0.616
0.844 0.844 0.116
0.156 0.156 0.884
0.156 0.156 0.616
0.844 0.844 0.384
0.247 0.494 0.500
0.753 0.506 0.500
0.506 0.753 0.500
0.753 0.506 0.000
0.494 0.247 0.000
0.494 0.247 0.500
0.247 0.494 0.000
0.506 0.753 0.000
0.247 0.753 0.500
0.753 0.247 0.500
0.753 0.247 0.000
0.247 0.753 0.000
0.145 0.000 0.750
0.855 0.000 0.250
0.000 0.145 0.750
0.000 0.855 0.250
0.855 0.855 0.750
0.145 0.145 0.250
0.333 0.667 0.628
0.667 0.333 0.372
0.667 0.333 0.128
0.667 0.333 0.872
0.333 0.667 0.872
0.333 0.667 0.128
0.333 0.667 0.372
0.667 0.333 0.628
0.253 0.000 0.530
0.747 0.000 0.470
0.000 0.253 0.530
0.747 0.000 0.030
0.000 0.253 0.970
0.000 0.747 0.470
0.253 0.000 0.970
0.000 0.747 0.030
0.747 0.747 0.530
0.253 0.253 0.470
0.253 0.253 0.030
0.747 0.747 0.970
0.158 0.392 0.666
0.842 0.608 0.334
0.608 0.766 0.666
0.842 0.608 0.166
0.392 0.158 0.834
0.392 0.234 0.334
0.158 0.392 0.834
0.608 0.842 0.166
0.234 0.842 0.666
0.392 0.234 0.166
0.766 0.608 0.834
0.766 0.158 0.334
0.608 0.766 0.834
0.234 0.392 0.166
0.608 0.842 0.334
0.392 0.158 0.666
0.766 0.158 0.166
0.234 0.392 0.334
0.234 0.842 0.834
0.766 0.608 0.666
0.842 0.234 0.834
0.158 0.766 0.166
0.158 0.766 0.334
0.842 0.234 0.666
0.000 0.000 0.500
0.000 0.000 0.000
0.730 0.000 0.750
0.270 0.000 0.250
0.000 0.730 0.750
0.000 0.270 0.250
0.270 0.270 0.750
0.730 0.730 0.250
```